NiH12SO9 after structural relaxation. Source: the Materials Project database, functional PBE+U.

## Properties
ΔH_f (0 K) in meV per atom: -1326
E above lowest polymorph in meV/atom: 0.0

Unit cell a=5.9296 b=7.9936 c=17.5152 alpha=90.01 beta=90.00 gamma=97.76
Last column: nearest neighbours and their distance in Å.
Atoms (fractional coordinates):
H 0.8037 0.2818 0.4538  1 O 1.00
H 0.0296 0.2559 0.8515  1 O 0.99
O 0.9573 0.2430 0.4500  2 H 1.00-1.01
O 0.2479 0.5194 0.4805  1 S 1.56, 2 H 1.67-1.69
H 0.1893 0.5890 0.3926  1 O 1.00
O 0.3428 0.0500 0.4537  2 H 1.00-1.01
O 0.0899 0.2910 0.3003  2 H 0.99
O 0.6902 0.9907 0.5496  2 H 0.99
H 0.2766 0.2383 0.0851  1 O 1.01
O 0.1427 0.6501 0.8464  2 H 1.00-1.01
O 0.4803 0.4030 0.0776  1 S 1.56, 2 H 1.67-1.69
O 0.3428 0.5499 0.7037  2 H 1.00-1.01
O 0.1427 0.1502 0.5964  2 H 1.00-1.01
H 0.3737 0.9965 0.4037  1 O 1.00
H 0.3739 0.4965 0.1536  1 O 1.00
H 0.5529 0.4942 0.2677  1 O 0.99
H 0.1403 0.1916 0.7748  1 O 0.99
O 0.8915 0.3901 0.6502  2 H 0.99
H 0.0682 0.3427 0.9670  1 O 1.01
H 0.9589 0.2912 0.1308  1 O 0.99
H 0.2769 0.2384 0.5851  1 O 1.01
H 0.0682 0.3429 0.4670  1 O 1.01
H 0.8038 0.7817 0.2038  1 O 1.00
H 0.1894 0.0889 0.6425  1 O 1.00
H 0.3738 0.9964 0.9036  1 O 1.00
O 0.1427 0.1500 0.0964  2 H 1.00-1.01
H 0.0296 0.7558 0.1015  1 O 0.99
O 0.4804 0.9031 0.3276  1 S 1.56, 2 H 1.67-1.69
H 0.7413 0.8912 0.3754  1 O 0.99
S 0.4992 0.4991 0.5000  3 O 1.56
H 0.6418 0.9407 0.5998  1 O 0.99
O 0.4802 0.9030 0.8276  1 S 1.56, 2 H 1.67-1.69
O 0.9574 0.7428 0.2000  2 H 1.00-1.01
H 0.4086 0.6723 0.6978  1 O 1.01
O 0.0896 0.2910 0.8003  2 H 0.99
O 0.9573 0.2428 0.9499  2 H 1.00-1.01
H 0.9590 0.7914 0.3809  1 O 0.99
H 0.9588 0.2912 0.6309  1 O 0.99
O 0.8916 0.3901 0.1501  2 H 0.99
S 0.4992 0.9991 0.7500  3 O 1.56
O 0.0896 0.7911 0.5503  2 H 0.99
O 0.1428 0.6500 0.3464  2 H 1.00-1.01
O 0.2480 0.0194 0.2305  1 S 1.56, 2 H 1.67-1.69
O 0.5584 0.3640 0.9419  1 S 1.56, 2 H 1.67-1.69
H 0.9587 0.7911 0.8808  1 O 0.99
H 0.5528 0.9941 0.0177  1 O 0.99
O 0.2480 0.0194 0.7305  1 S 1.56, 2 H 1.67-1.69
H 0.1403 0.6915 0.0248  1 O 0.99
H 0.7412 0.3911 0.1254  1 O 0.99
H 0.7411 0.8911 0.8754  1 O 0.99
O 0.9573 0.7428 0.7000  2 H 1.00-1.01
H 0.0296 0.2557 0.3515  1 O 0.99
H 0.7412 0.3912 0.6254  1 O 0.99
Ni 0.0089 0.0091 0.0000  6 O 2.07-2.12
S 0.4992 0.9991 0.2500  3 O 1.56
O 0.6903 0.9906 0.0495  2 H 0.99
O 0.3428 0.5499 0.2037  2 H 1.00-1.01
O 0.5583 0.3640 0.4419  1 S 1.56, 2 H 1.67-1.69
O 0.8915 0.8901 0.4002  2 H 0.99
Ni 0.0091 0.5091 0.2500  6 O 2.07-2.12
H 0.1893 0.5888 0.8925  1 O 1.00
H 0.4085 0.1724 0.4478  1 O 1.01
O 0.6903 0.4906 0.2996  2 H 0.99
H 0.2767 0.7383 0.8351  1 O 1.01
H 0.8038 0.2816 0.9538  1 O 1.00
O 0.0896 0.7909 0.0503  2 H 0.99
O 0.3427 0.0499 0.9536  2 H 1.00-1.01
H 0.3738 0.4964 0.6536  1 O 1.00
Ni 0.0084 0.0088 0.5002  6 O 2.06-2.13
S 0.4992 0.4991 0.0000  3 O 1.56
H 0.1402 0.6918 0.5248  1 O 0.99
H 0.4085 0.1723 0.9479  1 O 1.01
H 0.0683 0.8427 0.2170  1 O 1.01
O 0.5583 0.8640 0.6918  1 S 1.56, 2 H 1.67-1.69
H 0.4085 0.6723 0.1979  1 O 1.01
H 0.5528 0.9942 0.5176  1 O 0.99
H 0.6419 0.4407 0.3498  1 O 0.99
H 0.1404 0.1916 0.2748  1 O 0.99
H 0.0681 0.8428 0.7171  1 O 1.01
H 0.2767 0.7384 0.3351  1 O 1.01
H 0.8038 0.7816 0.7038  1 O 1.00
H 0.5529 0.4941 0.7677  1 O 0.99
O 0.5583 0.8640 0.1919  1 S 1.56, 2 H 1.67-1.69
H 0.1893 0.0888 0.1425  1 O 1.00
H 0.6420 0.4407 0.8498  1 O 0.99
Ni 0.0091 0.5091 0.7501  6 O 2.07-2.12
O 0.6904 0.4906 0.7995  2 H 0.99
O 0.4803 0.4030 0.5776  1 S 1.56, 2 H 1.67-1.69
H 0.6419 0.9406 0.0998  1 O 0.99
O 0.2480 0.5193 0.9805  1 S 1.56, 2 H 1.67-1.69
H 0.0295 0.7558 0.6015  1 O 0.99
O 0.8915 0.8901 0.9001  2 H 0.99

---

NiH2SO5 after structural relaxation. Source: the Materials Project database, functional PBE+U.

## Properties
ΔH_f (0 K) in meV per atom: -1600

Unit cell a=5.1371 b=5.1371 c=7.4892 alpha=72.72 beta=72.72 gamma=96.29
Last column: nearest neighbours and their distance in Å.
Atoms (fractional coordinates):
Ni 0.5000 0.0000 0.0000  6 O 2.04-2.15
O 0.7804 0.8220 0.8439  1 S 1.50
O 0.3819 0.6181 0.2500  2 H 1.00
O 0.2229 0.8166 0.9028  1 S 1.48
S 0.9073 0.0927 0.2500  4 O 1.48-1.50
H 0.6294 0.5445 0.7971  1 O 1.00
O 0.2196 0.1780 0.1561  1 S 1.50
O 0.1834 0.7771 0.5972  1 S 1.48
H 0.5445 0.6294 0.2971  1 O 1.00
O 0.1780 0.2196 0.6561  1 S 1.50
S 0.0927 0.9073 0.7500  4 O 1.48-1.50
O 0.8220 0.7804 0.3439  1 S 1.50
O 0.8166 0.2229 0.4028  1 S 1.48
H 0.4555 0.3706 0.7029  1 O 1.00
H 0.3706 0.4555 0.2029  1 O 1.00
Ni 0.0000 0.5000 0.5000  6 O 2.04-2.15
O 0.7771 0.1834 0.0972  1 S 1.48
O 0.6181 0.3819 0.7500  2 H 1.00

---

NiH14SO11 after structural relaxation. Source: the Materials Project database, functional PBE+U.

## Properties
ΔH_f (0 K) in meV per atom: -1382

Unit cell a=6.6537 b=11.8700 c=12.1135 alpha=90.00 beta=90.00 gamma=90.00
Last column: nearest neighbours and their distance in Å.
Atoms (fractional coordinates):
O 0.5031 0.2417 0.8346  2 H 0.99-1.00
H 0.5925 0.9098 0.4966  1 O 1.00
H 0.7238 0.5843 0.4418  1 O 1.00
H 0.4075 0.4098 0.0034  1 O 1.00
O 0.1059 0.8659 0.5418  2 H 0.99-1.00
O 0.6373 0.1769 0.2308  1 S 1.52
O 0.5707 0.1757 0.4295  1 S 1.48
H 0.6300 0.7631 0.6957  1 O 0.99
O 0.5634 0.5003 0.9334  2 H 0.99
H 0.2002 0.6184 0.0535  1 O 1.00
O 0.9293 0.8243 0.9295  1 S 1.48
H 0.2480 0.9540 0.8219  1 O 1.00
H 0.2988 0.4192 0.2723  1 O 1.00
H 0.3354 0.2830 0.0342  1 O 0.99
H 0.5129 0.0174 0.6352  1 O 0.99
H 0.2520 0.0460 0.3219  1 O 1.00
O 0.7934 0.3148 0.7006  1 S 1.49
O 0.2066 0.8148 0.7994  1 S 1.49
H 0.2998 0.3816 0.5535  1 O 1.00
O 0.4366 0.0003 0.5666  2 H 0.99
H 0.7762 0.4157 0.9418  1 O 1.00
H 0.0202 0.8608 0.6085  1 O 0.99
O 0.9850 0.6523 0.8223  1 S 1.50
O 0.7628 0.4639 0.1623  2 H 0.99-1.00
H 0.6646 0.7830 0.4658  1 O 0.99
O 0.2628 0.0361 0.8377  2 H 0.99-1.00
H 0.9871 0.9826 0.1352  1 O 0.99
O 0.8147 0.1361 0.9499  2 H 0.99-1.00
S 0.0033 0.2785 0.6781  4 O 1.48-1.52
H 0.0925 0.5902 0.5034  1 O 1.00
O 0.9309 0.0789 0.4564  2 H 0.99-1.00
O 0.2934 0.1852 0.2994  1 S 1.49
O 0.0031 0.2583 0.1654  2 H 0.99-1.00
H 0.2520 0.4530 0.7502  1 O 1.00
H 0.9075 0.0902 0.9966  1 O 1.00
H 0.8700 0.2369 0.1957  1 O 0.99
H 0.3081 0.9217 0.2795  1 O 0.99
H 0.2238 0.9157 0.5582  1 O 1.00
O 0.6850 0.0294 0.7466  2 H 1.00
H 0.0509 0.9324 0.0191  1 O 0.99
H 0.9790 0.0992 0.5308  1 O 0.99
O 0.3147 0.3639 0.0501  2 H 0.99-1.00
Ni 0.0411 0.4178 0.1036  6 O 2.04-2.15
O 0.6853 0.8639 0.4499  2 H 0.99-1.00
O 0.3627 0.6769 0.2692  1 S 1.52
O 0.8150 0.9706 0.2466  2 H 1.00
O 0.0634 0.9997 0.0666  2 H 0.99
O 0.0691 0.5789 0.0436  2 H 0.99-1.00
H 0.4491 0.0676 0.5191  1 O 0.99
H 0.7002 0.8816 0.9465  1 O 1.00
O 0.3941 0.1341 0.0418  2 H 0.99-1.00
H 0.2012 0.5808 0.7723  1 O 1.00
S 0.4967 0.7215 0.1781  4 O 1.48-1.52
O 0.6059 0.6341 0.4582  2 H 0.99-1.00
H 0.6919 0.4217 0.2205  1 O 0.99
O 0.7066 0.6852 0.2006  1 S 1.49
Ni 0.9589 0.9178 0.3964  6 O 2.04-2.15
O 0.8627 0.8231 0.7308  1 S 1.52
O 0.4969 0.7417 0.6654  2 H 0.99-1.00
O 0.1373 0.3231 0.7692  1 S 1.52
H 0.7480 0.9530 0.7498  1 O 1.00
S 0.5033 0.2215 0.3219  4 O 1.48-1.52
H 0.7012 0.9192 0.2277  1 O 1.00
H 0.7480 0.5460 0.1781  1 O 1.00
H 0.4798 0.1392 0.1085  1 O 0.99
H 0.5509 0.5676 0.9809  1 O 0.99
H 0.7520 0.4540 0.6781  1 O 1.00
O 0.4309 0.4211 0.5436  2 H 0.99-1.00
O 0.4850 0.8477 0.1777  1 S 1.50
H 0.9798 0.3608 0.8915  1 O 0.99
H 0.8354 0.2170 0.9658  1 O 0.99
Ni 0.4589 0.5822 0.6036  6 O 2.04-2.15
O 0.2372 0.9639 0.3377  2 H 0.99-1.00
H 0.1080 0.2345 0.2192  1 O 1.00
H 0.2762 0.0843 0.0582  1 O 1.00
O 0.5691 0.9211 0.9564  2 H 0.99-1.00
O 0.5150 0.3477 0.3223  1 S 1.50
O 0.9969 0.7583 0.3346  2 H 0.99-1.00
O 0.1850 0.4706 0.2534  2 H 1.00
H 0.6080 0.2655 0.7808  1 O 1.00
H 0.8081 0.5783 0.7205  1 O 0.99
H 0.4790 0.4008 0.4692  1 O 0.99
S 0.9967 0.7785 0.8219  4 O 1.48-1.52
H 0.3700 0.2631 0.8043  1 O 0.99
H 0.7988 0.0808 0.7277  1 O 1.00
H 0.7998 0.1184 0.4465  1 O 1.00
H 0.8920 0.7345 0.2808  1 O 1.00
H 0.9491 0.4324 0.4809  1 O 0.99
O 0.7372 0.5361 0.6623  2 H 0.99-1.00
H 0.4871 0.5174 0.8648  1 O 0.99
O 0.3150 0.5294 0.7534  2 H 1.00
Ni 0.5411 0.0822 0.8964  6 O 2.04-2.15
O 0.0150 0.1523 0.6777  1 S 1.50
O 0.1853 0.6361 0.5501  2 H 0.99-1.00
H 0.3920 0.7655 0.7192  1 O 1.00
O 0.4293 0.6757 0.0705  1 S 1.48
H 0.1646 0.7170 0.5342  1 O 0.99
H 0.0210 0.5992 0.9692  1 O 0.99
H 0.1919 0.0783 0.7795  1 O 0.99
H 0.7520 0.0470 0.2498  1 O 1.00
O 0.9366 0.4997 0.4334  2 H 0.99
H 0.0129 0.4826 0.3648  1 O 0.99
O 0.0707 0.3243 0.5705  1 S 1.48
H 0.1300 0.7369 0.3043  1 O 0.99
H 0.5202 0.6392 0.3915  1 O 0.99
H 0.5210 0.9008 0.0308  1 O 0.99
H 0.2480 0.5470 0.2502  1 O 1.00
O 0.8941 0.3659 0.9582  2 H 0.99-1.00

---

Number 1: total moment 0.00 μB/cell. Number 2: total moment 4.00 μB/cell. Number 3: total moment 8.00 μB/cell.